1.
{
  "formula": "Sr2CrN2",
  "functional": "PBE",
  "state": "optimized geometry",
  "sg": "Cmce, No. 64",
  "cell": [[6.329, 0.091, 0.000], [10.373, 4.961, 0.000], [0.000, 0.000, 12.450]],
  "species": ["N", "N", "N", "N", "N", "N", "N", "N", "Sr", "Sr", "Sr", "Sr", "Sr", "Sr", "Sr", "Sr", "Cr", "Cr", "Cr", "Cr"],
  "frac_coords": [[0.000, 0.092, 0.140], [0.000, 0.337, 0.069], [0.000, 0.908, 0.860], [0.000, 0.592, 0.360], [0.000, 0.408, 0.640], [0.000, 0.663, 0.931], [0.000, 0.163, 0.569], [0.000, 0.837, 0.431], [0.000, 0.947, 0.644], [0.000, 0.354, 0.431], [0.000, 0.146, 0.931], [0.000, 0.646, 0.569], [0.000, 0.854, 0.069], [0.000, 0.553, 0.144], [0.000, 0.053, 0.356], [0.000, 0.447, 0.856], [0.000, 0.262, 0.673], [0.000, 0.238, 0.173], [0.000, 0.762, 0.827], [0.000, 0.738, 0.327]]
}

2.
{
  "formula": "Ta3Cr3N",
  "functional": "PBE",
  "state": "optimized geometry",
  "sg": "Fd-3m, No. 227",
  "cell": [[6.763, -1.308, -4.272], [3.811, -7.134, 0.527], [-0.101, -5.123, -6.280]],
  "species": ["N", "N", "N", "N", "Cr", "Cr", "Cr", "Cr", "Cr", "Cr", "Cr", "Cr", "Cr", "Cr", "Cr", "Cr", "Ta", "Ta", "Ta", "Ta", "Ta", "Ta", "Ta", "Ta", "Ta", "Ta", "Ta", "Ta"],
  "frac_coords": [[0.125, 0.625, 0.125], [0.125, 0.125, 0.125], [0.125, 0.125, 0.625], [0.625, 0.125, 0.125], [0.625, 0.625, 0.125], [0.625, 0.625, 0.625], [0.829, 0.829, 0.829], [0.421, 0.421, 0.736], [0.421, 0.736, 0.421], [0.736, 0.421, 0.421], [0.421, 0.421, 0.421], [0.125, 0.625, 0.625], [0.829, 0.829, 0.514], [0.625, 0.125, 0.625], [0.514, 0.829, 0.829], [0.829, 0.514, 0.829], [0.057, 0.443, 0.443], [0.057, 0.057, 0.443], [0.443, 0.057, 0.057], [0.807, 0.193, 0.807], [0.807, 0.807, 0.193], [0.807, 0.193, 0.193], [0.193, 0.807, 0.807], [0.057, 0.443, 0.057], [0.443, 0.443, 0.057], [0.443, 0.057, 0.443], [0.193, 0.807, 0.193], [0.193, 0.193, 0.807]]
}

3.
{
  "formula": "Ta3Cr5N4",
  "functional": "PBE",
  "state": "optimized geometry",
  "sg": "P4mm, No. 99",
  "cell": [[-0.519, 2.809, -0.874], [-2.269, -0.947, -1.696], [-9.135, 1.800, 11.218]],
  "species": ["N", "N", "N", "N", "Cr", "Cr", "Cr", "Cr", "Cr", "Ta", "Ta", "Ta"],
  "frac_coords": [[0.500, 0.500, 0.653], [0.000, 0.000, 0.024], [0.000, 0.000, 0.519], [0.500, 0.500, 0.158], [0.500, 0.500, 0.286], [0.500, 0.500, 0.796], [0.000, 0.000, 0.375], [0.000, 0.000, 0.173], [0.000, 0.000, 0.882], [0.500, 0.500, 0.494], [0.000, 0.000, 0.677], [0.500, 0.500, 0.005]]
}

4.
{
  "formula": "CrTeN",
  "functional": "PBE",
  "state": "optimized geometry",
  "sg": "P4/nmm, No. 129",
  "cell": [[-3.029, 0.781, 1.153], [-1.147, -2.965, -1.004], [2.267, -3.753, 8.495]],
  "species": ["Cr", "Cr", "N", "N", "Te", "Te"],
  "frac_coords": [[0.000, 0.500, 0.894], [0.500, 0.000, 0.106], [0.500, 0.500, 0.000], [0.000, 0.000, 0.000], [0.000, 0.500, 0.298], [0.500, 0.000, 0.702]]
}

In eV/f.u., the corrected total energy (MP2020 scheme) values for the records above are, in order, -33.26, -76.39, -126.48, -21.39.
In eV per formula unit, the ΔE_f values for the records above are, in order, -3.6, -3.5, -9.3, -0.3.